Here is an optimized crystal structure of Nb6Ni16Ge7 from the Materials Project database. Energies are from PBE.

a b c (Å): 11.447 11.447 11.447
angles (deg): 90.00 90.00 90.00
Space group Fm-3m (No. 225)
Inequivalent atoms, fractional coordinates:
Nb (0.000, 0.000, 0.199)
Ni (0.117, 0.117, 0.383)
Ni (0.167, 0.167, 0.167)
Ge (0.000, 0.000, 0.500)
Ge (0.000, 0.250, 0.250)

Output
ΔH_f (0 K) = -0.375 eV per atom